No. 1
Here is an optimized crystal structure of Li3Fe2CuO6 from the Materials Project. Energies are from GGA+U.

## Properties
size of the total moment	12.00	Bohr magnetons per cell
formation enthalpy at 0 K	-40.42	kcal/mol of atoms
energy	-0.21085	Ha/atom

Geometry as POSCAR:
```
Li3Fe2CuO6
1.0
1.4896 6.5206 0.0000
-1.4896 6.5206 0.0000
0.0000 1.4307 5.7928
Li O Cu Fe
3 6 1 2
Direct
0.3365 0.3365 0.3332
0.6635 0.6635 0.6668
0.0000 0.0000 0.0000
0.4969 0.4969 0.7370
0.1612 0.1612 0.4060
0.1703 0.1703 0.9279
0.5031 0.5031 0.2630
0.8297 0.8297 0.0721
0.8388 0.8388 0.5940
0.0000 0.0000 0.5000
0.3349 0.3349 0.8312
0.6651 0.6651 0.1688
```

No. 2
Here is an optimized crystal structure of VBPb4O8 from the Materials Project. Energies are from GGA+U.

## Properties
size of the total moment	0.00	Bohr magnetons per cell
formation enthalpy at 0 K	-46.73	kcal/mol of atoms
energy	-0.23985	Ha/atom

Geometry as POSCAR:
```
VBPb4O8
1.0
-1.8324 4.0909 -5.6906
-2.1363 -8.7456 -5.5992
-12.4768 -3.9291 1.1930
Pb O V B
16 32 4 4
Direct
0.1903 0.5439 0.5763
0.4903 0.7529 0.7038
0.0144 0.2393 0.2652
0.2300 0.1437 0.5660
0.5144 0.7607 0.2348
0.3097 0.5439 0.0763
0.7700 0.8563 0.4340
0.9903 0.2471 0.7962
0.4856 0.2393 0.7652
0.7300 0.8563 0.9340
0.8097 0.4561 0.4237
0.5097 0.2471 0.2962
0.9856 0.7607 0.7348
0.0097 0.7529 0.2038
0.6903 0.4561 0.9237
0.2700 0.1437 0.0660
0.4374 0.7819 0.4177
0.0626 0.7819 0.9177
0.4114 0.5323 0.2953
0.8610 0.0689 0.7217
0.5626 0.2181 0.5823
0.3676 0.5243 0.9030
0.0886 0.5323 0.7953
0.5988 0.1806 0.9912
0.2876 0.2974 0.1634
0.9114 0.4677 0.2047
0.1324 0.5243 0.4030
0.8676 0.4757 0.5970
0.0988 0.8194 0.5088
0.9374 0.2181 0.0823
0.6324 0.4757 0.0970
0.9012 0.1806 0.4912
0.7124 0.7026 0.8366
0.2499 0.3221 0.3828
0.1663 0.0532 0.9057
0.7499 0.6779 0.1172
0.7876 0.7026 0.3366
0.6390 0.0689 0.2217
0.1390 0.9311 0.2783
0.3610 0.9311 0.7783
0.8337 0.9468 0.0943
0.3337 0.0532 0.4057
0.2124 0.2974 0.6634
0.2501 0.3221 0.8828
0.6663 0.9468 0.5943
0.5886 0.4677 0.7047
0.7501 0.6779 0.6172
0.4012 0.8194 0.0088
0.7452 0.1015 0.5983
0.7548 0.1015 0.0983
0.2548 0.8985 0.4017
0.2452 0.8985 0.9017
0.2658 0.4616 0.3606
0.7658 0.5384 0.1394
0.7342 0.5384 0.6394
0.2342 0.4616 0.8606
```

No. 3
Here is an optimized crystal structure of MgVO3 from the Materials Project. Energies are from GGA+U.

## Properties
formation enthalpy at 0 K	-63.99	kcal/mol of atoms
energy	-0.26196	Ha/atom

Geometry as POSCAR:
```
MgVO3
1.0
0.0000 0.0000 -5.3073
8.0030 -5.1278 0.0000
-2.6697 -5.1309 0.0000
O Mg V
12 4 4
Direct
0.9850 0.8827 0.6477
0.7377 0.1196 0.8811
0.2376 0.3803 0.6190
0.2377 0.8804 0.1189
0.7376 0.3807 0.6200
0.4850 0.1173 0.3523
0.4850 0.6174 0.8521
0.2377 0.1193 0.8802
0.9850 0.3826 0.1479
0.7376 0.6197 0.3810
0.7377 0.8807 0.1198
0.2376 0.6193 0.3800
0.9885 0.2875 0.8621
0.4885 0.7125 0.1379
0.9885 0.7874 0.3620
0.4885 0.2126 0.6380
0.4870 0.5351 0.6053
0.4872 0.0351 0.1053
0.9870 0.4649 0.3947
0.9872 0.9649 0.8947
```

No. 4
Here is an optimized crystal structure of FeP2O6 from the Materials Project. Energies are from GGA+U.

## Properties
formation enthalpy at 0 K	-56.98	kcal/mol of atoms
energy	-0.26478	Ha/atom

Geometry as POSCAR:
```
FeP2O6
1.0
-6.5392 -0.1104 3.4806
-0.3634 -5.8783 4.4946
0.7133 2.4675 9.6910
O P Fe
24 8 4
Direct
0.6974 0.4644 0.3418
0.8735 0.7185 0.3192
0.8367 0.0895 0.4080
0.1951 0.3599 0.3417
0.7674 0.5028 0.9422
0.1933 0.7150 0.4173
0.3599 0.1951 0.8417
0.7185 0.8735 0.8192
0.8049 0.6401 0.6583
0.2815 0.1265 0.1808
0.8067 0.2850 0.5827
0.2326 0.4972 0.0578
0.4972 0.2326 0.5578
0.1265 0.2815 0.6808
0.1633 0.9105 0.5920
0.2850 0.8067 0.0827
0.0895 0.8367 0.9080
0.7150 0.1933 0.9173
0.6401 0.8049 0.1583
0.5356 0.3026 0.1582
0.4644 0.6974 0.8418
0.9105 0.1633 0.0920
0.5028 0.7674 0.4422
0.3026 0.5356 0.6582
0.2559 0.7261 0.9755
0.2739 0.7441 0.5245
0.6981 0.6865 0.8061
0.6865 0.6981 0.3061
0.7441 0.2739 0.0245
0.3019 0.3135 0.1939
0.7261 0.2559 0.4755
0.3135 0.3019 0.6939
0.5000 0.0000 0.0000
0.0508 0.9492 0.2500
0.9492 0.0508 0.7500
0.0000 0.5000 0.5000
```

No. 5
Here is an optimized crystal structure of CaLaFeMoO6 from the Materials Project. Energies are from GGA+U.

## Properties
size of the total moment	14.00	Bohr magnetons per cell
formation enthalpy at 0 K	-62.57	kcal/mol of atoms
energy	-0.27010	Ha/atom

Geometry as POSCAR:
```
CaLaFeMoO6
1.0
-2.8392 -3.0380 3.8933
-2.8075 -2.6139 -4.0870
2.8418 -8.1465 -4.2843
Ca O Mo Fe La
2 12 2 2 2
Direct
0.7966 0.7652 0.7493
0.2034 0.7652 0.2493
0.5369 0.1461 0.5523
0.7272 0.3435 0.7501
0.2224 0.6650 0.7494
0.9673 0.8478 0.4490
0.2728 0.3435 0.2501
0.9622 0.2464 0.0445
0.4596 0.7515 0.4528
0.0327 0.8478 0.9490
0.4631 0.1461 0.0523
0.7776 0.6650 0.2494
0.0378 0.2464 0.5445
0.5404 0.7515 0.9528
0.7508 0.4991 0.5010
0.2492 0.4991 0.0010
0.2497 0.9997 0.4995
0.7503 0.9997 0.9995
0.2897 0.2356 0.7522
0.7103 0.2356 0.2522
```

No. 6
Here is an optimized crystal structure of VZn2IrO6 from the Materials Project. Energies are from GGA+U.

## Properties
size of the total moment	0.01	Bohr magnetons per cell
formation enthalpy at 0 K	-38.55	kcal/mol of atoms
energy	-0.22426	Ha/atom

Geometry as POSCAR:
```
VZn2IrO6
1.0
5.1868 0.0000 0.0000
0.0000 5.1988 0.0000
0.0000 5.0998 7.6221
O Zn Ir V
12 4 2 2
Direct
0.4278 0.3652 0.7556
0.0722 0.3652 0.2556
0.3290 0.7492 0.9379
0.3127 0.1031 0.5646
0.6710 0.2508 0.0621
0.6873 0.8969 0.4354
0.5722 0.6348 0.2444
0.1873 0.1031 0.0646
0.9278 0.6348 0.7444
0.8127 0.8969 0.9354
0.1710 0.7492 0.4379
0.8290 0.2508 0.5621
0.9636 0.7448 0.2499
0.0364 0.2552 0.7501
0.4636 0.2552 0.2501
0.5364 0.7448 0.7499
0.5000 0.5000 0.5000
0.0000 0.5000 0.0000
0.5000 0.0000 0.0000
0.0000 0.0000 0.5000
```

No. 7
Here is an optimized crystal structure of CrO2 from the Materials Project. Energies are from GGA+U.

## Properties
size of the total moment	4.00	Bohr magnetons per cell
formation enthalpy at 0 K	-47.20	kcal/mol of atoms
energy	-0.27338	Ha/atom

Geometry as POSCAR:
```
CrO2
1.0
0.0000 0.0000 -2.9860
-0.0002 -4.4481 0.0000
-4.5292 -0.0002 0.0000
O Cr
4 2
Direct
0.5000 0.2070 0.8102
0.0000 0.7070 0.6898
0.0000 0.2930 0.3102
0.5000 0.7930 0.1898
0.0000 0.0000 0.0000
0.5000 0.5000 0.5000
```

No. 8
Here is an optimized crystal structure of LiFeSi3O8 from the Materials Project. Energies are from GGA+U.

## Properties
size of the total moment	20.00	Bohr magnetons per cell
formation enthalpy at 0 K	-64.70	kcal/mol of atoms
energy	-0.26844	Ha/atom
relative energy among the computed polymorphs	0.041	eV per atom

Geometry as POSCAR:
```
LiFeSi3O8
1.0
8.5019 0.0000 0.0000
0.0000 8.6703 0.0000
0.0000 0.0000 9.2598
O Li Si Fe
32 4 12 4
Direct
0.2589 0.0432 0.8735
0.2616 0.6406 0.8347
0.6420 0.1363 0.2238
0.5121 0.2745 0.8297
0.2800 0.5692 0.5518
0.7411 0.5432 0.6265
0.0121 0.2255 0.1703
0.5192 0.4163 0.4344
0.2384 0.3594 0.3347
0.4808 0.9163 0.0656
0.1739 0.8633 0.0771
0.7589 0.4568 0.1265
0.8580 0.8637 0.7238
0.6739 0.6367 0.9229
0.4879 0.7745 0.6703
0.2411 0.9568 0.3735
0.0192 0.0837 0.5656
0.7616 0.8594 0.1653
0.1884 0.8484 0.6393
0.2200 0.4308 0.0518
0.7384 0.1406 0.6653
0.9879 0.7255 0.3297
0.9808 0.5837 0.9344
0.8116 0.3484 0.8607
0.7800 0.9308 0.4482
0.7200 0.0692 0.9482
0.1420 0.3637 0.7762
0.3261 0.1367 0.5771
0.3116 0.1516 0.1393
0.6884 0.6516 0.3607
0.3580 0.6363 0.2762
0.8261 0.3633 0.4229
0.0437 0.8373 0.8848
0.5437 0.6627 0.1152
0.4563 0.1627 0.3848
0.9563 0.3373 0.6152
0.3111 0.7069 0.6728
0.1961 0.0047 0.5373
0.6514 0.0011 0.1017
0.6889 0.2069 0.8272
0.8111 0.7931 0.3272
0.1514 0.4989 0.8983
0.6961 0.4953 0.4627
0.8039 0.5047 0.9627
0.3486 0.5011 0.3983
0.8486 0.9989 0.6017
0.3039 0.9953 0.0373
0.1889 0.2931 0.1728
0.6865 0.7183 0.7342
0.3135 0.2183 0.7658
0.1865 0.7817 0.2658
0.8135 0.2817 0.2342
```

No. 9
Here is an optimized crystal structure of SrCa7Mn6Cr2O21 from the Materials Project. Energies are from GGA+U.

## Properties
size of the total moment	28.00	Bohr magnetons per cell
formation enthalpy at 0 K	-58.04	kcal/mol of atoms
energy	-0.25685	Ha/atom
relative energy among the computed polymorphs	0.020	eV per atom

Geometry as POSCAR:
```
SrCa7Mn6Cr2O21
1.0
-7.0897 0.3025 3.2326
3.2104 -0.5893 7.0939
0.4737 7.7022 0.4357
O Mn Sr Ca Cr
21 6 1 7 2
Direct
0.9928 0.5092 0.7572
0.7392 0.4925 0.0494
0.9512 0.9918 0.7667
0.2558 0.0039 0.4967
0.5501 0.0161 0.2349
0.7632 0.9955 0.4749
0.7480 0.5049 0.4793
0.4998 0.2541 0.9964
0.9572 0.1978 0.0688
0.5044 0.5181 0.7451
0.2526 0.5128 0.0161
0.5184 0.7460 0.0306
0.0155 0.7524 0.4937
0.5338 0.9861 0.7459
0.2590 0.4980 0.4950
0.0189 0.4970 0.2545
0.0042 0.2491 0.5111
0.2426 0.9813 0.0423
0.5071 0.2577 0.4925
0.4936 0.7436 0.4642
0.9542 0.7936 0.0722
0.5059 0.5027 0.4987
0.5014 0.5039 0.9903
0.9902 0.5065 0.0091
0.5109 0.9990 0.4828
0.9993 0.5012 0.4981
0.0060 0.0000 0.5057
0.2439 0.2547 0.2448
0.7446 0.2467 0.7185
0.2679 0.2727 0.7013
0.7475 0.7505 0.7174
0.2643 0.7322 0.6978
0.7422 0.2589 0.2605
0.7347 0.7450 0.2593
0.2313 0.7330 0.2468
0.4819 0.9962 0.9964
0.0163 0.9952 0.9849
```

No. 10
Here is an optimized crystal structure of Li9Mn2Co5O16 from the Materials Project. Energies are from GGA+U.

## Properties
size of the total moment	14.00	Bohr magnetons per cell
formation enthalpy at 0 K	-42.20	kcal/mol of atoms
energy	-0.21389	Ha/atom
relative energy among the computed polymorphs	0.034	eV per atom

Geometry as POSCAR:
```
Li9Mn2Co5O16
1.0
5.1165 0.0000 0.0000
-0.0498 5.8796 0.0000
-1.8160 -2.7686 9.5636
O Mn Li Co
16 2 9 5
Direct
0.1159 0.1805 0.8817
0.3517 0.0604 0.1255
0.1479 0.6911 0.3741
0.1497 0.1930 0.3722
0.6019 0.9315 0.3787
0.8921 0.2923 0.1180
0.1223 0.7077 0.8873
0.8422 0.8144 0.6176
0.3529 0.5566 0.1293
0.8957 0.8194 0.1192
0.3787 0.5669 0.6139
0.6124 0.4580 0.3848
0.6607 0.9518 0.8785
0.3857 0.0432 0.6178
0.6449 0.4337 0.8787
0.8513 0.2967 0.6247
0.0037 0.9968 0.9970
0.5001 0.7488 0.5035
0.7522 0.1223 0.2488
0.5017 0.7458 0.9944
0.9960 0.5072 0.5066
0.2556 0.3881 0.7526
0.5041 0.2478 0.9977
0.7488 0.6283 0.2513
0.9967 0.9992 0.5014
0.7498 0.6275 0.7508
0.2433 0.8633 0.7480
0.7499 0.1181 0.7487
0.2486 0.3767 0.2487
0.5077 0.2605 0.5080
0.9833 0.4973 0.9897
0.2523 0.8756 0.2508
```

No. 11
Here is an optimized crystal structure of V4OF11 from the Materials Project. Energies are from GGA+U.

## Properties
size of the total moment	14.00	Bohr magnetons per cell
formation enthalpy at 0 K	-72.18	kcal/mol of atoms
energy	-0.22935	Ha/atom
relative energy among the computed polymorphs	0.001	eV per atom

Geometry as POSCAR:
```
V4OF11
1.0
-3.7118 2.5175 2.7110
-0.3548 -0.8730 5.3786
9.4090 13.8351 5.0981
F V O
22 8 2
Direct
0.3942 0.7815 0.0432
0.3359 0.9281 0.1881
0.9166 0.9199 0.6612
0.1505 0.5655 0.3130
0.8353 0.4451 0.6874
0.6256 0.0383 0.2874
0.5912 0.5904 0.8382
0.3608 0.9708 0.7124
0.1104 0.7201 0.4630
0.6540 0.6572 0.4176
0.1699 0.1579 0.9120
0.8308 0.8433 0.0888
0.0904 0.6865 0.9387
0.4205 0.8038 0.5629
0.6728 0.0622 0.8116
0.1472 0.5359 0.7861
0.4160 0.4093 0.1614
0.0787 0.0892 0.3371
0.6160 0.2091 0.9632
0.8840 0.2856 0.5362
0.5790 0.1966 0.4347
0.9115 0.3211 0.0598
0.8632 0.8747 0.3761
0.3810 0.3746 0.8750
0.4829 0.4893 0.5071
0.7543 0.7535 0.7492
0.0084 0.9960 0.0012
0.2378 0.2535 0.2491
0.1303 0.1326 0.6233
0.6440 0.6119 0.1320
0.8650 0.4603 0.2041
0.3419 0.3364 0.5787
```